No. 1
PBE+U Li2TiFe2O5, relaxed; E_form = -2.331 eV/atom; DFT total energy = -6.88 eV/atom; distance to the lowest polymorph of the same formula = 13 meV per atom
1.0
1.444 -0.823 4.851
-6.029 -5.227 0.068
4.435 -2.593 -0.076
O Li Ti Fe
10 4 2 4
Cartesian
-1.532 -7.748 3.617 O
-3.163 -5.184 3.578 O
2.933 -3.554 1.130 O
-0.097 -5.193 3.636 O
-3.024 -3.464 1.248 O
-4.575 -5.934 1.334 O
-0.101 -3.389 1.102 O
1.293 -2.628 3.698 O
2.966 -5.231 3.662 O
-1.488 -6.115 1.286 O
-0.074 -5.220 -0.019 Li
-4.551 -6.024 4.912 Li
-0.047 -1.759 2.425 Li
-1.559 -4.317 2.444 Li
-0.154 -6.957 2.414 Ti
-1.520 -2.555 0.015 Ti
2.920 -1.756 2.374 Fe
2.933 -3.384 4.805 Fe
1.391 -4.362 2.411 Fe
-3.022 -5.177 0.034 Fe



No. 2
PBE+U Li5Ti2Fe3O10, relaxed; E_form = -2.449 eV/atom; DFT total energy = -6.78 eV/atom; distance to the lowest polymorph of the same formula = 5 meV per atom
1.0
5.168 0.000 0.000
0.903 5.160 0.000
2.539 2.013 7.140
Fe Li O Ti
3 5 10 2
Cartesian
7.715 3.412 6.382 Fe
2.584 0.000 0.000 Fe
0.895 3.761 0.758 Fe
4.290 4.840 2.892 Li
1.721 3.587 3.570 Li
5.203 4.688 5.641 Li
4.320 2.333 4.248 Li
3.407 2.485 1.499 Li
4.274 6.611 6.039 O
6.191 5.554 3.855 O
4.336 0.562 1.101 O
5.230 2.867 2.425 O
5.986 2.643 5.425 O
6.862 5.411 6.662 O
2.419 1.619 3.285 O
2.624 4.530 1.715 O
3.380 4.306 4.715 O
1.748 1.762 0.478 O
2.692 6.063 4.956 Ti
5.918 1.110 2.183 Ti



> Which formula does entry 2 have?

Li5Ti2Fe3O10